Computed, not measured: Na4Zn3S5 after structural relaxation at the PBE level of DFT.

Results
E_form: -1.165 eV/atom

```
data_Na4Zn3S5
_cell_length_a 13.189
_cell_length_b 3.931
_cell_length_c 18.875
_cell_angle_alpha 90.00
_cell_angle_beta 90.00
_cell_angle_gamma 90.00
_symmetry_space_group_name_H-M 'P n m a'
_symmetry_Int_Tables_number 62
loop_
_symmetry_equiv_pos_as_xyz
'x,y,z'
'-x,-y,-z'
'-x+1/2,-y,z+1/2'
'x+1/2,y,-z+1/2'
'x+1/2,-y+1/2,-z+1/2'
'-x+1/2,y+1/2,z+1/2'
'-x,y+1/2,-z'
'x,-y+1/2,z'
loop_
_atom_site_label
_atom_site_type_symbol
_atom_site_fract_x
_atom_site_fract_y
_atom_site_fract_z
Na1 Na 0.002 0.250 0.235
Na2 Na 0.007 0.750 0.417
Na3 Na 0.109 0.750 0.951
Na4 Na 0.227 0.250 0.334
Zn1 Zn 0.076 0.750 0.131
Zn2 Zn 0.181 0.250 0.717
Zn3 Zn 0.209 0.750 0.541
S1 S 0.107 0.250 0.838
S2 S 0.112 0.250 0.063
S3 S 0.125 0.750 0.653
S4 S 0.148 0.750 0.245
S5 S 0.157 0.250 0.477
```



Computed, not measured: Al3CoW9C3 after structural relaxation at the PBE level of DFT.

Results
E_form: -0.108 eV/atom

```
data_Al3CoW9C3
_cell_length_a 7.9474
_cell_length_b 7.9474
_cell_length_c 7.8541
_cell_angle_alpha 90.00
_cell_angle_beta 90.00
_cell_angle_gamma 120.00
_symmetry_space_group_name_H-M 'P 63/m m c'
_symmetry_Int_Tables_number 194
_symmetry_space_group_name_Hall '-P 6c 2c'
loop_
_atom_site_label
_atom_site_type_symbol
_atom_site_fract_x
_atom_site_fract_y
_atom_site_fract_z
Al1 Al 0.1103 0.2206 0.2500
Co1 Co 0.0000 0.0000 0.0000
W1 W 0.1027 0.5514 0.2500
W2 W 0.2032 0.4064 0.5712
C1 C 0.0000 0.5000 0.0000
```



Computed, not measured: Er11Ni60C6 after structural relaxation at the PBE level of DFT.

Results
E_form: -0.285 eV/atom

```
data_Er11Ni60C6
_cell_length_a 12.423
_cell_length_b 12.423
_cell_length_c 12.423
_cell_angle_alpha 90.00
_cell_angle_beta 90.00
_cell_angle_gamma 90.00
_symmetry_space_group_name_H-M 'I m -3 m'
_symmetry_Int_Tables_number 229
_symmetry_space_group_name_Hall '-I 4 2 3'
loop_
_atom_site_label
_atom_site_type_symbol
_atom_site_fract_x
_atom_site_fract_y
_atom_site_fract_z
Er1 Er 0.000 0.000 0.500
Er2 Er 0.169 0.169 0.169
Ni1 Ni 0.000 0.000 0.143
Ni2 Ni 0.000 0.148 0.319
Ni3 Ni 0.000 0.250 0.500
Ni4 Ni 0.093 0.326 0.326
C1 C 0.000 0.000 0.292
```



Computed, not measured: Er3Rh after structural relaxation at the PBE level of DFT.

Results
E_form: -0.548 eV/atom

```
data_Er3Rh
_cell_length_a 7.118
_cell_length_b 9.353
_cell_length_c 6.262
_cell_angle_alpha 90.00
_cell_angle_beta 90.00
_cell_angle_gamma 90.00
_symmetry_space_group_name_H-M 'P n m a'
_symmetry_Int_Tables_number 62
loop_
_symmetry_equiv_pos_as_xyz
'x,y,z'
'-x,-y,-z'
'-x+1/2,-y,z+1/2'
'x+1/2,y,-z+1/2'
'x+1/2,-y+1/2,-z+1/2'
'-x+1/2,y+1/2,z+1/2'
'-x,y+1/2,-z'
'x,-y+1/2,z'
loop_
_atom_site_label
_atom_site_type_symbol
_atom_site_fract_x
_atom_site_fract_y
_atom_site_fract_z
Er1 Er 0.035 0.250 0.135
Er2 Er 0.178 0.063 0.673
Rh1 Rh 0.116 0.750 0.448
```



The records above give, respectively, E values of -3.434, -10.274, -6.161, -5.815 eV per atom.